# 1
Entry from Materials Project: a relaxed RbAl6H20N5F24 crystal (GGA-PBE).

Summary:
The energy above the most stable polymorph in this dataset comes out at 0 kJ/mol of formula units. The calculation puts the formation energy at -196 kJ/mol of atoms.

Lattice parameters (Å, degrees): 5.131 5.190 22.809 89.75 88.60 89.09
Space group P1 (No. 1)
Inequivalent atoms, fractional coordinates:
1 Rb 0.000 0.000 0.000 x1
2 Al 0.064 0.594 0.805 x1
3 Al 0.192 0.805 0.478 x1
4 Al 0.441 0.945 0.125 x1
5 Al 0.552 0.098 0.824 x1
6 Al 0.687 0.305 0.478 x1
7 Al 0.941 0.446 0.131 x1
8 H 0.055 0.459 0.590 x1
9 H 0.082 0.144 0.608 x1
10 H 0.120 0.955 0.241 x1
11 H 0.143 0.371 0.657 x1
12 H 0.299 0.567 0.938 x1
13 H 0.332 0.441 0.316 x1
14 H 0.350 0.328 0.597 x1
15 H 0.491 0.838 0.661 x1
16 H 0.528 0.109 0.754 x1
17 H 0.532 0.625 0.987 x1
18 H 0.564 0.736 0.918 x1
19 H 0.568 0.821 0.352 x1
20 H 0.580 0.410 0.930 x1
21 H 0.650 0.706 0.361 x1
22 H 0.757 0.102 0.725 x1
23 H 0.810 0.049 0.262 x1
24 H 0.889 0.733 0.250 x1
25 H 0.945 0.494 0.996 x1
26 H 0.947 0.069 0.397 x1
27 H 0.998 0.885 0.309 x1
28 N 0.159 0.324 0.614 x1
29 N 0.482 0.337 0.295 x1
30 N 0.497 0.584 0.943 x1
31 N 0.617 0.678 0.659 x1
32 N 0.952 0.907 0.266 x1
33 F 0.099 0.892 0.396 x1
34 F 0.131 0.578 0.733 x1
35 F 0.179 0.701 0.116 x1
36 F 0.192 0.206 0.109 x1
37 F 0.238 0.771 0.552 x1
38 F 0.288 0.839 0.833 x1
39 F 0.293 0.360 0.836 x1
40 F 0.381 0.964 0.200 x1
41 F 0.437 0.549 0.454 x1
42 F 0.446 0.050 0.467 x1
43 F 0.496 0.921 0.046 x1
44 F 0.578 0.086 0.904 x1
45 F 0.622 0.337 0.552 x1
46 F 0.685 0.690 0.136 x1
47 F 0.700 0.190 0.127 x1
48 F 0.802 0.235 0.398 x1
49 F 0.809 0.828 0.824 x1
50 F 0.815 0.356 0.824 x1
51 F 0.873 0.478 0.046 x1
52 F 0.932 0.080 0.708 x1
53 F 0.937 0.559 0.475 x1
54 F 0.942 0.059 0.493 x1
55 F 0.982 0.430 0.206 x1
56 F 0.995 0.505 0.949 x1



# 2
Entry from Materials Project: a relaxed RbP3PbO9 crystal (GGA-PBE).

Summary:
The calculation puts the formation energy at -247 kJ/mol of atoms.

Lattice parameters (Å, degrees): 7.337 17.374 14.446 90.00 105.80 90.00
Space group P2_1/c (No. 14)
Inequivalent atoms, fractional coordinates:
1 Rb 0.120 0.160 0.450 x4
2 Rb 0.345 0.672 0.499 x4
3 P 0.046 0.125 0.860 x4
4 P 0.063 0.223 0.690 x4
5 P 0.223 0.509 0.137 x4
6 P 0.341 0.011 0.852 x4
7 P 0.465 0.247 0.198 x4
8 P 0.480 0.635 0.141 x4
9 Pb 0.174 0.076 0.132 x4
10 Pb 0.293 0.572 0.880 x4
11 O 0.012 0.509 0.117 x4
12 O 0.019 0.152 0.954 x4
13 O 0.029 0.192 0.178 x4
14 O 0.056 0.669 0.884 x4
15 O 0.058 0.203 0.799 x4
16 O 0.093 0.570 0.702 x4
17 O 0.210 0.552 0.364 x4
18 O 0.263 0.094 0.882 x4
19 O 0.279 0.201 0.693 x4
20 O 0.284 0.601 0.153 x4
21 O 0.319 0.025 0.566 x4
22 O 0.325 0.029 0.739 x4
23 O 0.353 0.087 0.304 x4
24 O 0.386 0.698 0.814 x4
25 O 0.413 0.179 0.132 x4
26 O 0.451 0.509 0.599 x4
27 O 0.464 0.652 0.037 x4
28 O 0.480 0.719 0.190 x4



# 3
Entry from Materials Project: a relaxed TiS2 crystal (GGA-PBE).

Summary:
The calculation puts the formation energy at -139 kJ/mol of atoms.

Lattice parameters (Å, degrees): 7.0947 7.0947 17.9828 90.00 90.00 120.00
Space group R3m (No. 160, hexagonal axes)
Inequivalent atoms, fractional coordinates:
1 Ti 0.0000 0.0000 0.0000 x3
2 Ti 0.0284 0.5142 0.1269 x9
3 S 0.0000 0.0000 0.3766 x3
4 S 0.0000 0.0000 0.8636 x3
5 S 0.0144 0.5072 0.3741 x9
6 S 0.1728 0.3457 0.1949 x9



# 4
Entry from Materials Project: a relaxed KSnAuSe3 crystal (GGA-PBE).

Summary:
The calculation puts the formation energy at -80 kJ/mol of atoms.

Lattice parameters (Å, degrees): 8.558 8.558 20.297 90.00 90.00 90.00
Space group P4cc (No. 103)
Inequivalent atoms, fractional coordinates:
1 K 0.000 0.000 0.000 x2
2 K 0.000 0.000 0.202 x2
3 K 0.500 0.500 0.050 x2
4 K 0.500 0.500 0.346 x2
5 Sn 0.000 0.500 0.012 x4
6 Sn 0.000 0.500 0.190 x4
7 Au 0.002 0.317 0.350 x8
8 Se 0.153 0.333 0.100 x8
9 Se 0.182 0.322 0.757 x8
10 Se 0.184 0.323 0.445 x8



# 5
Entry from Materials Project: a relaxed CaMg6SiO8 crystal (GGA-PBE).

Summary:
The energy above the most stable polymorph in this dataset comes out at 0 kJ/mol of formula units. The calculation puts the formation energy at -262 kJ/mol of atoms.

Lattice parameters (Å, degrees): 4.409 4.409 8.806 90.00 90.00 90.00
Space group P4/mmm (No. 123)
Inequivalent atoms, fractional coordinates:
1 Ca 0.000 0.000 0.000 x1
2 Mg 0.000 0.000 0.500 x1
3 Mg 0.000 0.500 0.261 x4
4 Mg 0.500 0.500 0.500 x1
5 Si 0.500 0.500 0.000 x1
6 O 0.000 0.000 0.265 x2
7 O 0.000 0.500 0.000 x2
8 O 0.000 0.500 0.500 x2
9 O 0.500 0.500 0.264 x2



# 6
Entry from Materials Project: a relaxed YMg5 crystal (GGA-PBE).

Summary:
The calculation puts the formation energy at -1 kJ/mol of atoms.

Lattice parameters (Å, degrees): 5.367 3.264 17.104 90.00 90.00 90.00
Space group Amm2 (No. 38)
Inequivalent atoms, fractional coordinates:
1 Y 0.000 0.000 0.000 x2
2 Mg 0.000 0.000 0.333 x2
3 Mg 0.000 0.000 0.669 x2
4 Mg 0.500 0.000 0.113 x2
5 Mg 0.500 0.000 0.444 x2
6 Mg 0.500 0.000 0.779 x2



# 7
Entry from Materials Project: a relaxed Pu4Co crystal (GGA-PBE).

Summary:
The calculation puts the formation energy at 38 kJ/mol of atoms.

Lattice parameters (Å, degrees): 10.076 10.076 10.076 90.00 90.00 90.00
Space group Fd-3m (No. 227, origin choice 2)
Inequivalent atoms, fractional coordinates:
1 Pu 0.015 0.015 0.235 x32
2 Co 0.125 0.125 0.625 x8



# 8
Entry from Materials Project: a relaxed VFe2Se4 crystal (GGA-PBE).

Summary:
The energy above the most stable polymorph in this dataset comes out at 398 kJ/mol of formula units. The calculation puts the formation energy at -8 kJ/mol of atoms.

Lattice parameters (Å, degrees): 7.686 8.173 10.437 80.93 74.34 70.42
Space group P1 (No. 1)
Inequivalent atoms, fractional coordinates:
1 V 0.000 0.000 0.000 x1
2 Fe 0.414 0.105 0.095 x1
3 Fe 0.681 0.195 0.990 x1
4 Se 0.141 0.029 0.162 x1
5 Se 0.378 0.393 0.049 x1
6 Se 0.729 0.914 0.110 x1
7 Se 0.956 0.203 0.824 x1



# 9
Entry from Materials Project: a relaxed LiMg2Ni crystal (GGA-PBE).

Summary:
The calculation puts the formation energy at -12 kJ/mol of atoms.

Lattice parameters (Å, degrees): 6.336 6.336 6.336 90.00 90.00 90.00
Space group Fm-3m (No. 225)
Inequivalent atoms, fractional coordinates:
1 Li 0.000 0.000 0.000 x4
2 Mg 0.250 0.250 0.250 x8
3 Ni 0.000 0.000 0.500 x4



# 10
Entry from Materials Project: a relaxed SiO2 crystal (GGA-PBE).

Summary:
The calculation puts the formation energy at -287 kJ/mol of atoms. The maximum piezoelectric response is 0.4 C/m2.

Lattice parameters (Å, degrees): 4.946 5.659 5.389 90.00 108.62 90.00
Space group Pm (No. 6)
Inequivalent atoms, fractional coordinates:
1 Si 0.000 0.000 0.000 x1
2 Si 0.014 0.500 0.027 x1
3 Si 0.428 0.000 0.713 x1
4 Si 0.483 0.500 0.517 x1
5 O 0.320 0.000 0.973 x1
6 O 0.330 0.262 0.589 x2
7 O 0.371 0.500 0.187 x1
8 O 0.760 0.000 0.713 x1
9 O 0.827 0.500 0.704 x1
10 O 0.926 0.245 0.130 x2



| no. | final energy (eV/atom) |
| --- | --- |
| 1 | -5.02 |
| 2 | -6.79 |
| 3 | -6.49 |
| 4 | -3.74 |
| 5 | -5.91 |
| 6 | -2.42 |
| 7 | -12.44 |
| 8 | -5.52 |
| 9 | -2.84 |
| 10 | -7.62 |